Compound: Li2MnVO4
Source: the Materials Project database
Functional: GGA+U
Structure: optimized geometry Values from VASP.

Properties
corrected total energy (MP2020 scheme) = -7.54 eV/atom
formation enthalpy at 0 K = -18.5 eV/f.u.
offset from the most stable computed form = 0.0000 eV per atom
E = -6.780 eV per atom

Geometry as Quantum ESPRESSO input:
```
&SYSTEM
  ibrav = 0, nat = 16, ntyp = 4
/
ATOMIC_SPECIES
Li 6.94 Li.upf
Mn 54.94 Mn.upf
V 50.94 V.upf
O 16.00 O.upf
ATOMIC_POSITIONS angstrom
Li 0.614 0.000 4.893
Li 5.349 1.466 0.000
Li 5.349 -1.466 0.000
Li 8.029 0.000 0.003
Mn -1.028 0.000 2.448
Mn 4.322 0.000 2.448
V 1.647 1.458 2.448
V 1.647 -1.458 2.448
O 3.488 1.462 1.396
O 0.902 0.000 1.255
O 2.407 0.000 3.629
O 5.155 1.462 3.500
O 3.488 -1.462 1.396
O 6.237 0.000 1.268
O 7.741 0.000 3.642
O 5.155 -1.462 3.500
CELL_PARAMETERS angstrom
5.349 -2.917 0.000
5.349 2.917 0.000
-2.055 0.000 4.896
```